The following is a DFT calculation (GGA+U) of KCaDyWO6 after structural relaxation.

Calculated values
The value obtained for the magnetization is 0.00 μB per cell. As for the total energy: -7.062 eV per atom. Its space-group type is No. 216.

Cell lengths 5.9015, 5.9015, 5.9015 Å; angles 60.00, 60.00, 60.00 degrees
Sites, in units of the cell vectors:
K  0.0000  0.0000  0.0000
Ca  0.5000  0.5000  0.5000
Dy  0.2500  0.2500  0.2500
W  0.7500  0.7500  0.7500
O  0.5166  0.5166  0.9834
O  0.5166  0.9834  0.5166
O  0.5166  0.9834  0.9834
O  0.9834  0.5166  0.5166
O  0.9834  0.5166  0.9834
O  0.9834  0.9834  0.5166


The following is a DFT calculation (GGA+U) of Li3VF8 after structural relaxation.

Calculated values
The value obtained for the magnetization is 0.00 μB per cell. As for the total energy: -5.003 eV per atom. Its energy above the lowest structure with this stoichiometry is 0.0 kJ per mole of atoms. Its space-group type is No. 12.

Cell lengths 5.8485, 5.8485, 5.5988 Å; angles 107.92, 107.92, 106.03 degrees
Sites, in units of the cell vectors:
Li  0.0000  0.0000  0.0000
Li  0.0000  0.5000  0.0000
Li  0.5000  0.0000  0.0000
V  0.5000  0.5000  0.5000
F  0.1975  0.8025  0.0000
F  0.2459  0.2459  0.5010
F  0.3061  0.6939  0.5000
F  0.3367  0.3367  0.1158
F  0.6633  0.6633  0.8842
F  0.6939  0.3061  0.5000
F  0.7541  0.7541  0.4990
F  0.8025  0.1975  0.0000


The following is a DFT calculation (GGA+U) of LaCrC6N6O5 after structural relaxation.

Calculated values
The value obtained for the magnetization is 14.00 μB per cell. As for the total energy: -7.157 eV per atom. Its space-group type is No. 11.

Cell lengths 8.0870, 13.5671, 8.1433 Å; angles 90.00, 119.68, 90.00 degrees
Sites, in units of the cell vectors:
La  0.1673  0.2500  0.3360
La  0.8327  0.7500  0.6640
Cr  0.5000  0.0000  0.0000
Cr  0.5000  0.5000  0.0000
C  0.2534  0.5861  0.8967
C  0.2534  0.9139  0.8967
C  0.3616  0.0847  0.7556
C  0.3616  0.4153  0.7556
C  0.3909  0.0866  0.1377
C  0.3909  0.4134  0.1377
C  0.6091  0.5866  0.8623
C  0.6091  0.9134  0.8623
C  0.6384  0.5847  0.2444
C  0.6384  0.9153  0.2444
C  0.7466  0.0861  0.1033
C  0.7466  0.4139  0.1033
N  0.1128  0.6326  0.8319
N  0.1128  0.8674  0.8319
N  0.2824  0.1304  0.6157
N  0.2824  0.3696  0.6157
N  0.3283  0.1336  0.2154
N  0.3283  0.3664  0.2154
N  0.6717  0.6336  0.7846
N  0.6717  0.8664  0.7846
N  0.7176  0.6304  0.3843
N  0.7176  0.8696  0.3843
N  0.8872  0.1326  0.1681
N  0.8872  0.3674  0.1681
O  0.0049  0.2500  0.9428
O  0.1069  0.7500  0.4251
O  0.1657  0.6701  0.3827
O  0.1657  0.8299  0.3827
O  0.3956  0.7500  0.4065
O  0.6044  0.2500  0.5935
O  0.8343  0.1701  0.6173
O  0.8343  0.3299  0.6173
O  0.8931  0.2500  0.5749
O  0.9951  0.7500  0.0572


Number 1: energy with MP2020 corrections -79.18 eV for the cell shown. Number 2: energy with MP2020 corrections -65.44 eV for the cell shown. Number 3: energy with MP2020 corrections -275.96 eV for the cell shown.